Entry from Materials Project: an optimized crystal structure of AlCrO3 (PBE+U).

Cell: 5.052 7.532 5.020 Å, 90.00 90.00 90.00°
Positions (direct):
Al 0.022 0.250 0.012
Al 0.478 0.750 0.512
Al 0.522 0.250 0.488
Al 0.978 0.750 0.988
Cr 0.000 0.000 0.500
Cr 0.000 0.500 0.500
Cr 0.500 0.000 0.000
Cr 0.500 0.500 0.000
O 0.122 0.750 0.641
O 0.163 0.579 0.160
O 0.163 0.921 0.160
O 0.337 0.079 0.660
O 0.337 0.421 0.660
O 0.378 0.250 0.141
O 0.622 0.750 0.859
O 0.663 0.579 0.340
O 0.663 0.921 0.340
O 0.837 0.079 0.840
O 0.837 0.421 0.840
O 0.878 0.250 0.359

Summary:
Space group = Pnma, No. 62
Magnetization = 3.00 μB per formula unit
Energy relative to the elements = -13.60 eV per formula unit
Calculated density = 4415 kg/m3



Entry from Materials Project: an optimized crystal structure of AlCr2O4 (PBE+U).

Cell: 6.437 6.437 5.345 Å, 114.33 114.33 108.29°
Positions (direct):
Al 0.121 0.879 0.750
Al 0.879 0.121 0.250
Cr 0.000 0.500 0.000
Cr 0.500 0.000 0.500
Cr 0.500 0.500 0.000
Cr 0.500 0.500 0.500
O 0.090 0.278 0.728
O 0.137 0.446 0.355
O 0.278 0.090 0.228
O 0.446 0.137 0.855
O 0.554 0.863 0.145
O 0.722 0.910 0.772
O 0.863 0.554 0.645
O 0.910 0.722 0.272

Summary:
Space group = C2/c, No. 15
Magnetization = 7.00 μB per formula unit
Offset from the most stable computed form = 378 meV per atom
Energy relative to the elements = -14.90 eV per formula unit
Calculated density = 4331 kg/m3



Entry from Materials Project: an optimized crystal structure of AlCrO3 (PBE+U).

Cell: 5.516 5.516 11.631 Å, 90.00 90.00 120.00°
Positions (direct):
Al 0.000 0.000 0.000
Al 0.000 0.000 0.500
Al 0.333 0.667 0.496
Al 0.333 0.667 0.996
Al 0.667 0.333 0.496
Al 0.667 0.333 0.996
Cr 0.000 0.331 0.247
Cr 0.000 0.669 0.747
Cr 0.331 0.000 0.247
Cr 0.331 0.331 0.747
Cr 0.669 0.000 0.747
Cr 0.669 0.669 0.247
O 0.000 0.000 0.217
O 0.000 0.000 0.717
O 0.000 0.314 0.422
O 0.000 0.355 0.075
O 0.000 0.645 0.575
O 0.000 0.686 0.922
O 0.314 0.000 0.422
O 0.314 0.314 0.922
O 0.333 0.667 0.266
O 0.333 0.667 0.766
O 0.355 0.000 0.075
O 0.355 0.355 0.575
O 0.645 0.000 0.575
O 0.645 0.645 0.075
O 0.667 0.333 0.266
O 0.667 0.333 0.766
O 0.686 0.000 0.922
O 0.686 0.686 0.422

Summary:
Space group = P6_3cm, No. 185
Magnetization = 3.00 μB per formula unit
Energy relative to the elements = -12.72 eV per formula unit
Calculated density = 4128 kg/m3



Entry from Materials Project: an optimized crystal structure of AlCr2O4 (PBE+U).

Cell: 5.997 5.997 5.997 Å, 59.65 59.65 59.65°
Positions (direct):
Al 0.124 0.124 0.124
Al 0.876 0.876 0.876
Cr 0.000 0.500 0.500
Cr 0.500 0.000 0.500
Cr 0.500 0.500 0.000
Cr 0.500 0.500 0.500
O 0.246 0.246 0.246
O 0.251 0.251 0.745
O 0.251 0.745 0.251
O 0.255 0.749 0.749
O 0.745 0.251 0.251
O 0.749 0.255 0.749
O 0.749 0.749 0.255
O 0.754 0.754 0.754

Summary:
Space group = R-3m, No. 166
Magnetization = 7.00 μB per formula unit
Offset from the most stable computed form = 0 meV per atom
Energy relative to the elements = -17.54 eV per formula unit
Calculated density = 4280 kg/m3



E (MP2020): -8.3688 -8.2484 -8.1929 -8.6261 (eV/atom)